1.
VASP calculation (PBE-GGA) on a geometry-optimized TlIn4S5Cl structure.

Cell: 9.114 3.995 15.230 Å, 90.00 93.39 90.00°
Space group P2_1/m (No. 11)
Symmetry-distinct sites (fractional):
1 Tl 0.107 0.250 0.157
2 In 0.159 0.750 0.447
3 In 0.263 0.750 0.706
4 In 0.369 0.250 0.937
5 In 0.453 0.250 0.355
6 S 0.032 0.750 0.600
7 S 0.188 0.250 0.801
8 S 0.293 0.750 0.298
9 S 0.332 0.250 0.501
10 S 0.467 0.250 0.100
11 Cl 0.173 0.750 0.996

## Properties
* M_tot: 0.00 Bohr magnetons per cell
* DFT total energy: -3.881 eV/atom

=====

2.
VASP calculation (PBE-GGA) on a geometry-optimized SmIn2Cl5 structure.

Cell: 13.066 8.730 8.205 Å, 90.00 90.00 90.00°
Space group Pnma (No. 62)
Symmetry-distinct sites (fractional):
1 Sm 0.004 0.250 0.074
2 In 0.173 0.006 0.549
3 Cl 0.008 0.250 0.413
4 Cl 0.074 0.543 0.161
5 Cl 0.177 0.250 0.884
6 Cl 0.200 0.750 0.841

## Properties
* DFT total energy: -4.000 eV/atom

=====

3.
VASP calculation (PBE-GGA) on a geometry-optimized InSnCl3 structure.

Cell: 7.9744 7.9744 20.1164 Å, 90.00 90.00 120.00°
Space group R-3 (No. 148, hexagonal axes)
Symmetry-distinct sites (fractional):
1 In 0.0000 0.0000 0.1387
2 Sn 0.0000 0.0000 0.3362
3 Cl 0.0085 0.2688 0.2565

## Properties
* M_tot: 0.00 Bohr magnetons per cell
* DFT total energy: -3.397 eV/atom